Record 1
16
Lattice="6.633 0.000 0.000 0.000 7.145 0.000 0.000 0.016 10.160" Properties=species:S:1:pos:R:3 comment="KTeP2 (GGA-PBE, optimized geometry)" mass_density_g_cm3=3.2 space_group=P2_1/m total_energy_ev_per_cell=-67.27 volume_a3_per_atom=30.09 delta_e_f_ev_per_atom=-0.434 pbc="T T T"
K 4.975 5.568 10.095
P 3.354 4.341 4.265
K 1.658 1.594 0.064
Te 4.975 1.123 2.705
K 1.658 0.191 3.948
P 6.596 4.341 4.265
P 0.037 2.821 5.895
K 4.975 6.971 6.212
P 3.279 2.821 5.895
Te 1.658 5.038 1.042
Te 1.658 6.038 7.455
P 1.658 3.528 3.037
Te 4.975 2.123 9.118
P 4.975 3.634 7.122
P 4.975 3.619 2.903
P 1.658 3.543 7.257

=====

Record 2
112
Lattice="7.318 8.848 0.000 -7.318 8.848 0.000 0.000 5.881 10.504" Properties=species:S:1:pos:R:3 comment="CaHf4O9 (GGA-PBE, optimized geometry)" total_magnetization_mub_per_cell=0.0 mass_density_g_cm3=8.8 space_group=C2/c total_energy_ev_per_cell=-1082.60 volume_a3_per_atom=12.14 delta_e_f_ev_per_atom=-3.939 pbc="T T T"
Hf 2.725 16.249 9.967
Hf -4.616 16.546 9.970
O 0.682 8.012 2.490
Hf -1.094 16.038 9.983
O -0.978 5.434 3.444
O 0.808 14.077 0.458
O 0.319 5.581 0.616
Hf 1.019 7.137 6.839
O -4.733 15.293 8.257
Hf 1.094 7.539 0.521
Ca 2.745 13.250 1.573
Hf 4.528 10.427 8.639
O -4.374 11.114 1.585
Hf 0.789 10.567 9.241
Hf 4.616 7.032 0.534
O 0.682 12.625 2.762
Hf -1.094 10.480 5.773
O -0.831 6.702 7.782
Hf -4.616 9.972 5.786
O 0.808 6.560 4.794
O -6.213 11.130 5.027
O -2.844 9.275 6.755
O -4.669 13.565 3.971
Hf -4.528 13.151 1.865
O 1.159 12.666 9.065
O 0.831 3.761 2.529
Hf 0.639 16.167 0.675
O -1.159 10.912 1.439
O 2.844 6.334 1.503
Hf 2.745 13.259 7.878
O 0.831 16.876 2.723
Ca 2.745 7.387 3.679
O -0.892 12.637 5.334
O 4.374 14.055 6.837
O 6.184 10.855 1.345
O -4.733 11.225 7.499
Hf 1.094 13.098 4.731
O 6.213 14.070 10.279
O -0.808 9.501 10.046
Hf 2.725 10.270 5.790
O 3.075 9.787 3.873
O 0.978 8.375 8.696
O 2.560 10.907 7.834
O 2.560 15.611 7.922
O 0.892 9.697 0.082
Hf 4.528 16.091 7.117
O -6.213 9.507 0.225
O -2.419 6.857 5.041
O 4.374 12.464 8.919
O -6.184 13.796 6.597
Hf 1.019 19.382 8.917
O -2.560 7.967 2.582
Ca -2.745 16.191 6.825
Hf -0.789 7.626 3.989
O -0.319 17.997 9.888
Hf -0.789 13.011 1.263
O -4.669 7.072 1.281
O 0.978 18.144 7.060
O -0.808 17.018 5.710
Hf -1.019 4.196 1.587
O 3.075 10.850 1.379
O -2.545 15.330 4.414
Ca -6.395 10.319 2.626
O -0.831 19.817 7.975
O 2.419 9.798 10.293
O 0.892 10.940 5.170
Hf -2.725 7.329 0.538
O -3.033 9.421 0.235
O -0.682 15.566 8.014
Ca -0.935 13.259 7.878
O 4.669 10.013 6.533
Hf 4.606 10.319 2.626
Ca -2.745 10.327 8.931
O 2.545 8.247 6.090
O -2.545 5.307 0.838
O -0.319 8.522 5.868
O -2.844 17.244 9.002
O 2.545 18.271 9.666
O 3.033 14.157 10.270
O -0.978 15.203 1.808
O 2.844 14.303 3.749
O 2.419 16.720 5.463
Hf -1.019 16.441 3.665
O -1.159 9.725 3.813
O -0.682 10.952 7.742
O -3.075 12.727 9.125
Hf -4.528 7.486 3.387
Ca 0.935 10.319 2.626
Hf -4.606 13.259 7.878
O -2.419 13.780 0.211
Hf -2.725 13.308 4.715
O 6.213 12.448 5.477
O 4.669 16.506 9.223
Hf -2.745 10.319 2.626
Hf -0.639 19.108 5.927
Hf -0.639 7.410 9.829
O -6.184 12.722 9.159
O 4.733 8.285 2.247
O 6.184 9.782 3.907
O -2.560 12.670 2.670
Hf 0.789 15.952 6.515
O -4.374 9.523 3.667
O 1.159 13.853 6.691
Ca 6.395 13.259 7.878
Hf 4.616 13.605 4.718
O -0.892 13.881 10.422
O 4.733 12.352 3.005
O -3.033 11.216 5.018
O 3.033 12.361 5.487
O -3.075 13.791 6.631
O 0.319 15.056 4.636
Hf 0.639 4.470 4.577

=====

Record 3
10
Lattice="2.185 -3.785 0.000 2.185 3.785 0.000 0.000 0.000 17.824" Properties=species:S:1:pos:R:3 comment="La2Rh2I (GGA-PBE, optimized geometry)" mass_density_g_cm3=6.9 space_group=P6_3/mmc total_energy_ev_per_cell=-61.54 volume_a3_per_atom=29.49 delta_e_f_ev_per_atom=-1.005 pbc="T T T"
Rh 2.185 1.262 8.927
Rh 2.185 -1.262 8.898
La 0.000 0.000 7.027
La 0.000 0.000 10.797
La 0.000 0.000 1.885
Rh 2.185 1.262 17.810
I 2.185 -1.262 13.368
Rh 2.185 -1.262 0.015
I 2.185 1.262 4.456
La 0.000 0.000 15.939

=====

Record 4
76
Lattice="-0.979 -4.767 -1.919 -1.005 -4.982 12.892 -16.239 3.327 0.020" Properties=species:S:1:pos:R:3 comment="Mn4Nb7Ge8 (GGA-PBE, optimized geometry)" total_magnetization_mub_per_cell=38.0 mass_density_g_cm3=8.0 space_group=Pnma total_energy_ev_per_cell=-601.67 volume_a3_per_atom=15.81 delta_e_f_ev_per_atom=-0.320 pbc="T T T"
Nb -3.968 -3.263 -0.566
Nb -12.157 -3.314 7.261
Ge -12.233 -2.912 9.912
Ge -13.509 -3.496 4.882
Nb -7.310 -2.591 6.603
Nb -12.640 -5.668 6.314
Nb -4.258 -6.073 10.175
Ge -4.715 -2.926 6.110
Mn -5.024 -3.790 8.415
Nb -16.324 -5.317 10.842
Mn -15.114 -3.920 6.754
Mn -10.962 -2.649 12.160
Ge -13.804 -6.030 11.328
Nb -6.258 -5.388 5.882
Nb -9.568 -5.029 6.680
Ge -2.690 -3.099 1.874
Nb -10.913 -3.831 4.390
Ge -6.712 -7.133 10.450
Ge -4.419 -0.393 -0.335
Nb -9.119 -0.052 1.216
Ge -10.860 -1.687 2.668
Nb -5.583 -0.755 4.679
Ge -15.533 -3.323 9.119
Ge -13.997 -1.375 6.991
Mn -6.774 -1.400 -0.212
Mn -3.433 -7.152 5.273
Ge -2.658 -8.112 10.815
Ge -17.255 -3.071 5.738
Ge -9.037 -4.292 11.710
Nb -1.202 -5.514 10.749
Mn -11.485 -2.069 0.304
Nb -1.899 -1.106 0.151
Nb -1.729 -5.287 3.322
Nb -8.742 -3.235 1.801
Ge -10.380 0.652 3.609
Mn -15.278 -1.644 4.764
Nb -13.965 -0.350 0.818
Nb -17.021 -0.908 0.244
Mn -2.945 -4.778 6.229
Ge -4.226 -5.048 4.001
Nb -9.104 -6.371 9.776
Mn -3.109 -2.503 4.239
Ge -6.928 -0.943 2.313
Mn -11.449 -5.023 11.204
Ge -2.618 -4.420 8.753
Ge -7.363 -4.736 8.325
Nb -14.448 -2.703 -0.129
Nb -1.852 -7.241 8.238
Mn -14.791 0.730 5.719
Ge -11.295 -5.479 8.680
Mn -13.199 -2.632 2.577
Nb -16.494 -1.135 7.670
Ge -7.843 -7.074 7.384
Ge -15.053 -0.985 10.060
Nb -8.655 -1.394 4.313
Mn -4.469 -1.310 1.969
Ge -0.969 -3.351 5.255
Ge -4.493 -6.411 7.524
Ge -3.170 -5.438 0.933
Nb -9.481 -3.187 9.191
Mn -6.738 -4.353 10.688
Ge -11.511 0.710 0.543
Ge -9.885 -2.068 6.616
Ge -8.338 -4.355 4.377
Ge -13.731 -0.011 3.468
Nb -11.965 -1.035 5.110
Mn -7.261 -3.774 -1.167
Ge -5.990 -3.510 1.081
Nb -6.066 -3.108 3.732
Nb -3.775 -3.719 11.122
Ge -15.565 1.690 0.177
Ge -15.605 -2.002 2.240
Ge -9.186 -2.130 -0.717
Nb -14.255 -3.160 11.558
Mn -13.755 -5.112 9.023
Nb -16.371 0.818 2.755

=====

Record 5
21
Lattice="2.116 8.916 0.000 -2.116 8.916 0.000 0.000 4.072 13.070" Properties=species:S:1:pos:R:3 comment="Ce11Ni4Ge6 (GGA-PBE, optimized geometry)" total_magnetization_mub_per_cell=8.9 mass_density_g_cm3=7.4 space_group=C2/m total_energy_ev_per_cell=-128.79 volume_a3_per_atom=23.48 delta_e_f_ev_per_atom=-0.603 pbc="T T T"
Ce 0.000 0.000 0.000
Ce 0.000 17.264 3.699
Ce 0.000 11.324 4.863
Ge 0.000 12.116 11.094
Ce 0.000 10.580 8.207
Ce 0.000 4.639 9.371
Ge 0.000 13.453 7.176
Ce 0.000 5.485 5.231
Ge 0.000 14.108 3.089
Ni 0.000 18.696 6.210
Ni 0.000 3.207 6.860
Ce 0.000 18.747 11.092
Ni 0.000 13.614 0.645
Ge 0.000 9.787 1.976
Ce 0.000 3.156 1.978
Ce 0.000 15.434 11.858
Ce 0.000 16.418 7.839
Ge 0.000 7.795 9.981
Ce 0.000 6.469 1.212
Ni 0.000 8.289 12.426
Ge 0.000 8.451 5.894

=====

Record 6
20
Lattice="5.644 0.000 0.000 0.000 6.035 0.000 0.000 0.000 7.861" Properties=species:S:1:pos:R:3 comment="LaPdO3 (GGA-PBE, optimized geometry)" mass_density_g_cm3=7.3 space_group=Pnma total_energy_ev_per_cell=-138.84 volume_a3_per_atom=13.39 delta_e_f_ev_per_atom=-2.362 pbc="T T T"
Pd 0.000 3.018 3.931
La 0.115 5.610 5.896
La 2.937 3.443 1.965
La 5.529 0.425 1.965
O 1.727 4.219 4.339
O 4.549 4.834 3.522
O 5.022 3.258 5.896
Pd 2.822 0.000 0.000
O 3.444 0.240 5.896
O 1.095 1.202 4.339
O 0.622 2.778 1.965
La 2.707 2.592 5.896
O 3.918 1.816 3.522
O 1.727 4.219 7.452
Pd 2.822 0.000 3.931
O 2.200 5.795 1.965
Pd 0.000 3.018 0.000
O 4.549 4.834 0.409
O 1.095 1.202 7.452
O 3.918 1.816 0.409

=====

Record 7
18
Lattice="6.144 -0.253 -0.348 -4.912 6.277 0.000 -0.351 -0.275 5.638" Properties=species:S:1:pos:R:3 comment="Zn3Cr2N4 (GGA-PBE, optimized geometry)" total_magnetization_mub_per_cell=0.0 mass_density_g_cm3=5.7 space_group=C2/c total_energy_ev_per_cell=-110.91 volume_a3_per_atom=11.62 delta_e_f_ev_per_atom=-0.052 pbc="T T T"
N 1.848 2.217 1.933
Zn -2.089 2.489 1.409
N 2.421 1.124 4.752
Zn -3.174 3.513 4.228
N -0.457 2.117 0.160
N -0.967 3.533 3.357
Zn 4.386 -0.098 4.937
Zn -0.254 1.332 3.171
Zn 1.135 4.418 2.118
Cr -0.541 3.591 5.047
Zn -3.505 5.848 0.352
Cr -1.381 5.026 2.228
N -3.142 5.187 2.979
Cr 2.262 0.724 3.062
Cr 1.422 2.159 0.243
N 1.338 3.633 5.129
N -1.540 4.626 0.538
N 4.023 0.563 2.311

=====

Record 8
76
Lattice="-6.937 4.031 6.495 -7.469 -1.708 -6.918 -1.627 -9.348 4.064" Properties=species:S:1:pos:R:3 comment="Rb2ErTiP3O12 (GGA-PBE, optimized geometry)" total_magnetization_mub_per_cell=0.0 mass_density_g_cm3=4.1 space_group=P2_13 total_energy_ev_per_cell=-563.13 volume_a3_per_atom=14.47 delta_e_f_ev_per_atom=-3.105 pbc="T T T"
O -10.752 1.215 -0.337
P -8.541 -0.402 -4.010
O -7.715 1.083 5.795
O -12.453 -3.475 2.846
O -3.604 -5.195 3.578
O -2.443 -3.035 3.069
O -6.850 -4.660 1.081
Rb -8.445 -5.492 5.522
O -5.079 -0.728 -2.275
O -11.767 -5.977 1.044
O -4.301 -8.203 2.913
O -4.251 0.447 3.637
O -8.740 -3.575 -1.329
O -8.781 -0.926 3.602
O -8.626 -1.924 -4.020
O -4.679 1.108 1.216
O -6.636 -0.821 7.131
Rb -7.294 0.526 -0.605
Ti -11.054 -0.077 -1.806
O -10.261 -3.395 0.652
O -6.959 -8.126 -1.655
O -6.572 1.204 2.852
O -2.446 -4.878 1.312
P -9.229 -2.654 -0.217
Ti -7.981 -2.253 7.529
Ti -6.306 -2.763 1.432
O -10.677 -9.196 -1.288
O -6.615 -6.073 3.208
O -9.596 -3.287 3.787
Rb -4.594 -5.680 -0.691
O -9.961 -1.407 -0.829
O -8.674 -9.291 0.200
O -7.143 -2.868 3.250
P -5.094 -2.236 -1.846
O -7.021 -7.188 0.964
O -5.623 -2.312 -0.370
P -8.403 -2.343 4.021
Rb -11.290 -0.852 1.946
P -6.582 0.696 6.737
O -5.455 -5.223 5.957
O -6.760 -3.810 7.549
Er -10.661 -4.671 2.421
P -7.319 -5.936 1.863
Rb -9.469 -6.451 -0.837
O -13.501 -7.840 1.346
P -5.296 0.462 2.469
O -5.626 -1.028 2.098
Er -8.564 1.252 3.776
O -9.350 1.468 1.714
O -3.661 -2.797 -1.836
O -8.082 -2.387 5.557
P -13.830 -3.312 3.481
O -14.108 -0.136 1.084
O -4.792 -8.510 0.415
Ti -6.725 -8.956 0.126
Rb -15.358 -6.729 3.488
O -9.355 0.225 -2.826
Rb -4.821 -2.167 5.090
P -3.251 -4.203 2.475
O -14.972 -3.856 2.555
P -11.871 -7.102 4.795
Rb -2.864 -1.255 0.650
O -13.123 -6.528 5.545
O -9.521 -3.488 7.668
O -8.051 -2.131 0.674
O -12.662 -0.739 -0.861
O -9.988 -5.903 8.101
Er -4.915 -6.737 4.429
O -8.843 -5.893 2.078
P -3.711 -8.545 1.550
O -5.969 -3.083 -2.764
Er -7.926 -3.893 -3.344
O -7.139 -5.860 -2.687
O -4.558 -3.586 1.862
O -11.056 -6.004 4.121
P -13.071 -6.573 0.529